# 1
YHoCo4, relaxed, DFT r2SCAN; total magnetic moment = 4.049 μB/cell; energy relative to the elements = -70.5 kJ/mol of formula units; symmetry = F-43m
1.0
0.000 3.573 3.573
3.573 0.000 3.573
3.573 3.573 0.000
Y Ho Co
1 1 4
Cartesian
0.000 0.000 0.000
5.360 5.360 5.360
2.681 2.681 2.681
4.465 4.465 2.681
4.465 2.681 4.465
2.681 4.465 4.465


# 2
LiMg6Mn, relaxed, DFT r2SCAN; total magnetic moment = 8.510 μB/cell; energy relative to the elements = 20.7 kJ/mol of formula units
1.0
-2.478 -1.347 4.118
4.156 -4.576 1.003
5.989 6.710 5.799
Mg Mn Li
12 2 2
Cartesian
4.530 2.816 3.647
1.579 -0.587 0.758
2.294 0.900 4.700
7.085 3.321 5.349
5.220 4.331 7.582
-0.253 0.431 3.014
6.652 0.479 4.159
7.367 1.966 8.101
4.819 1.497 6.414
3.613 -2.827 1.249
2.012 2.254 1.948
4.303 -1.312 5.184
5.016 5.620 4.857
4.099 -0.023 2.459
1.841 -1.839 3.531
2.758 3.804 5.929


# 3
V3O5F, relaxed, DFT r2SCAN; distance to the lowest polymorph of the same formula = 16.0 kJ/mol of formula units; total magnetic moment = 8.000 μB/cell; energy relative to the elements = -2375.4 kJ/mol of formula units; symmetry = Pm
1.0
6.443 0.000 0.000
0.000 2.905 0.000
-3.216 0.000 9.729
V O F
6 10 2
Cartesian
0.000 0.000 0.000
-0.147 1.453 3.182
0.012 0.000 6.359
3.206 1.453 0.236
3.272 0.000 3.387
3.222 1.453 6.577
-1.907 0.000 6.523
-0.006 1.453 1.356
0.005 1.453 5.160
1.938 0.000 0.027
3.162 1.453 2.045
1.887 0.000 6.546
4.474 0.000 0.064
3.168 1.453 4.614
3.204 1.453 8.481
5.122 0.000 3.276
1.251 0.000 3.284
-0.011 1.453 7.807


# 4
In3Sb5O12, relaxed, DFT r2SCAN; total magnetic moment = 0.000 μB/cell; energy relative to the elements = -3086.7 kJ/mol of formula units; symmetry = I-43m
1.0
-5.287 5.287 5.287
5.287 -5.287 5.287
5.287 5.287 -5.287
In Sb O
6 10 24
Cartesian
5.287 2.643 0.000
5.287 0.000 2.643
2.643 5.287 0.000
2.643 0.000 5.287
0.000 5.287 2.643
0.000 2.643 5.287
2.548 2.548 -2.548
2.987 0.000 0.000
2.548 -2.548 2.548
7.586 0.000 0.000
0.000 2.987 0.000
0.000 0.000 2.987
-2.548 2.548 2.548
2.739 2.739 2.739
0.000 7.586 0.000
0.000 0.000 7.586
4.250 1.088 -1.088
4.250 -1.088 1.088
6.992 1.456 -1.456
6.992 -1.456 1.456
3.831 3.831 -1.705
3.831 -1.705 3.831
6.323 1.088 1.088
3.582 1.456 1.456
1.088 4.250 -1.088
1.088 -1.088 4.250
1.456 3.582 1.456
1.456 1.456 3.582
4.199 4.199 1.037
4.199 1.037 4.199
-1.088 4.250 1.088
-1.088 1.088 4.250
1.456 6.992 -1.456
1.456 -1.456 6.992
1.088 6.323 1.088
1.088 1.088 6.323
-1.705 3.831 3.831
1.037 4.199 4.199
-1.456 6.992 1.456
-1.456 1.456 6.992


# 5
Os3W, relaxed, DFT r2SCAN; total magnetic moment = 0.000 μB/cell; energy relative to the elements = -19.5 kJ/mol of formula units; symmetry = P6_3/mmc
1.0
5.529 0.000 0.000
-2.764 4.788 0.000
0.000 0.000 4.397
Os W
6 2
Cartesian
0.000 1.593 1.099
-1.385 3.991 1.099
1.380 0.797 3.298
1.385 3.991 1.099
4.149 0.797 3.298
2.764 3.195 3.298
0.000 3.192 3.298
2.764 1.596 1.099


# 6
Nd3Pt2, relaxed, DFT r2SCAN; total magnetic moment = 0.000 μB/cell; energy relative to the elements = -501.6 kJ/mol of formula units; symmetry = R-3
1.0
4.494 2.594 5.691
-4.494 2.594 5.691
0.000 -5.189 5.691
Nd Pt
9 6
Cartesian
0.000 0.000 0.000
-1.054 -2.013 6.970
0.000 0.000 3.394
-2.271 -0.094 10.105
-1.217 1.919 6.970
1.217 -1.919 10.105
2.271 0.094 6.970
0.000 0.000 13.681
1.054 2.013 10.105
-3.553 0.137 7.330
-1.895 -3.009 9.744
1.658 -3.146 7.330
-1.658 3.146 9.744
1.895 3.009 7.330
3.553 -0.137 9.744


# 7
K2PbCl6, relaxed, DFT r2SCAN; total magnetic moment = 0.000 μB/cell; energy relative to the elements = -1255.5 kJ/mol of formula units; symmetry = P2_1/c
1.0
7.164 0.000 0.000
0.000 7.446 0.000
-7.048 0.000 10.037
K Pb Cl
4 2 12
Cartesian
-0.112 0.517 2.494
-3.635 3.206 7.513
3.752 4.240 2.524
0.228 6.929 7.542
3.582 0.000 0.000
0.058 3.723 5.018
-5.537 1.438 9.620
-2.013 2.285 4.602
-4.847 5.323 9.687
-1.323 5.846 4.668
-2.941 0.063 7.558
0.582 3.660 2.539
-0.466 3.786 7.497
3.058 7.383 2.479
1.439 1.600 5.368
4.963 2.123 0.350
2.129 5.161 5.434
5.653 6.007 0.416


# 8
NdAsO4, relaxed, DFT r2SCAN; distance to the lowest polymorph of the same formula = 2.9 kJ/mol of formula units; total magnetic moment = 0.000 μB/cell; energy relative to the elements = -1497.0 kJ/mol of formula units; symmetry = I4_1/amd
1.0
-3.645 3.645 3.235
3.645 -3.645 3.235
3.645 3.645 -3.235
Nd As O
2 2 8
Cartesian
3.645 1.823 0.809
0.000 1.823 2.426
3.645 -1.823 2.426
0.000 5.468 0.809
3.645 -0.521 1.337
3.645 3.124 -1.337
1.301 1.823 0.280
2.344 -1.823 3.515
1.301 5.468 -0.280
2.344 1.823 2.954
0.000 0.521 4.572
0.000 4.166 1.898


# 9
Cs3GaSe3, relaxed, DFT r2SCAN; total magnetic moment = 0.000 μB/cell; energy relative to the elements = -867.5 kJ/mol of formula units; symmetry = P2_1/c
1.0
8.622 0.000 0.000
0.000 13.864 0.000
-6.715 0.000 9.067
Cs Ga Se
12 4 12
Cartesian
-2.213 1.784 4.403
-5.570 5.148 8.936
-4.697 1.073 8.034
-1.339 5.859 3.501
-0.748 9.610 5.313
2.609 11.187 0.780
-0.702 2.677 8.287
2.655 4.255 3.753
3.246 8.005 5.566
6.604 12.791 1.032
7.477 8.716 0.130
4.120 12.081 4.664
1.440 0.791 3.087
-1.918 6.141 7.620
3.825 7.724 1.446
0.467 13.073 5.980
0.018 2.223 1.774
-3.339 4.709 6.307
-2.854 8.377 8.093
0.504 12.420 3.560
1.613 7.685 2.352
-1.744 13.112 6.885
3.651 0.753 2.182
0.294 6.179 6.715
1.403 1.445 5.507
4.760 5.488 0.973
5.246 9.155 2.760
1.888 11.642 7.293


# 10
Ho2Si3Pd, relaxed, DFT r2SCAN; total magnetic moment = 0.000 μB/cell; energy relative to the elements = -551.2 kJ/mol of formula units; symmetry = P6_3/mmc
1.0
8.099 0.000 0.000
-4.050 7.014 0.000
0.000 0.000 8.067
Ho Si Pd
8 12 4
Cartesian
0.000 0.000 2.017
0.000 0.000 6.050
6.072 3.505 2.017
-2.022 3.509 6.050
4.050 0.003 2.017
0.000 7.011 6.050
2.028 3.505 2.017
2.022 3.509 6.050
0.000 2.326 0.001
0.000 2.326 4.032
-2.035 5.851 0.001
-2.035 5.851 4.032
2.015 1.163 8.065
2.015 1.163 4.035
2.035 5.851 0.001
2.035 5.851 4.032
6.084 1.163 8.065
6.084 1.163 4.035
4.050 4.688 8.065
4.050 4.688 4.035
0.000 4.676 0.010
0.000 4.676 4.023
4.050 2.338 4.043
4.050 2.338 8.057


# 11
SbTePt, relaxed, DFT r2SCAN; total magnetic moment = 0.000 μB/cell; energy relative to the elements = -128.0 kJ/mol of formula units; symmetry = P2_13
1.0
6.600 0.000 0.000
0.000 6.600 0.000
0.000 0.000 6.600
Sb Te Pt
4 4 4
Cartesian
0.841 0.841 0.841
2.459 5.759 4.141
4.141 2.459 5.759
5.759 4.141 2.459
0.834 2.466 4.134
2.466 4.134 0.834
4.134 0.834 2.466
5.766 5.766 5.766
0.036 6.564 3.264
3.264 0.036 6.564
3.336 3.336 3.336
6.564 3.264 0.036


# 12
Ca2MgIn, relaxed, DFT r2SCAN; total magnetic moment = 0.000 μB/cell; energy relative to the elements = -141.7 kJ/mol of formula units; symmetry = Fm-3m
1.0
0.000 3.872 3.872
3.872 0.000 3.872
3.872 3.872 0.000
Ca Mg In
2 1 1
Cartesian
1.936 1.936 1.936
5.808 5.808 5.808
0.000 0.000 0.000
3.872 3.872 3.872


# 13
La2Co2I, relaxed, DFT r2SCAN; total magnetic moment = 0.000 μB/cell; energy relative to the elements = -274.4 kJ/mol of formula units; symmetry = P6_3/mmc
1.0
4.036 0.000 0.000
-2.018 3.496 0.000
0.000 0.000 17.932
La Co I
4 4 2
Cartesian
0.000 0.000 1.855
0.000 0.000 7.111
0.000 0.000 10.821
0.000 0.000 16.077
0.000 2.330 17.928
0.000 2.330 8.970
2.018 1.165 0.004
2.018 1.165 8.962
0.000 2.330 4.483
2.018 1.165 13.449


# 14
Cs3TmO3, relaxed, DFT r2SCAN; distance to the lowest polymorph of the same formula = 6.8 kJ/mol of formula units; total magnetic moment = 0.000 μB/cell; energy relative to the elements = -1456.8 kJ/mol of formula units; symmetry = C2/m
1.0
3.949 -6.346 0.000
3.949 6.346 0.000
-1.528 0.000 7.416
Cs Tm O
6 2 6
Cartesian
3.949 3.686 0.000
3.185 3.012 3.708
2.595 0.000 1.103
3.775 0.000 6.314
3.185 -3.012 3.708
3.949 -3.686 0.000
0.354 0.000 4.821
6.016 0.000 2.595
0.251 0.000 2.676
1.177 1.705 5.679
1.177 -1.705 5.679
5.193 1.705 1.737
5.193 -1.705 1.737
6.119 0.000 4.741


# 15
ThAsS, relaxed, DFT r2SCAN; total magnetic moment = 0.000 μB/cell; energy relative to the elements = -505.4 kJ/mol of formula units; symmetry = P4/nmm
1.0
4.027 0.000 0.000
0.000 4.027 0.000
0.000 0.000 8.346
Th As S
2 2 2
Cartesian
1.007 1.007 1.844
3.020 3.020 6.502
1.007 3.020 4.173
3.020 1.007 4.173
1.007 1.007 7.241
3.020 3.020 1.106


# 16
YP3O9, relaxed, DFT r2SCAN; distance to the lowest polymorph of the same formula = 7.9 kJ/mol of formula units; total magnetic moment = 0.000 μB/cell; energy relative to the elements = -3457.0 kJ/mol of formula units; symmetry = Cc
1.0
7.097 -3.367 0.000
7.097 3.367 0.000
-6.115 0.000 7.964
Y P O
2 6 18
Cartesian
4.040 1.796 3.982
7.097 -1.796 0.000
-2.944 0.706 6.669
0.114 -0.706 2.686
0.876 0.594 5.300
3.934 -0.594 1.318
9.158 0.550 1.802
6.101 -0.550 5.784
-0.250 1.672 4.965
0.642 0.316 1.746
5.740 2.485 2.721
-2.416 -0.316 5.728
3.718 0.468 0.171
2.214 1.214 5.130
0.660 -0.468 4.153
3.627 0.076 2.606
0.570 -0.076 6.588
7.864 1.256 2.387
2.807 -1.672 0.983
5.623 0.442 4.799
5.272 -1.214 1.148
8.680 -0.442 0.816
10.003 0.076 2.929
4.806 -1.256 6.369
6.945 -0.076 6.912
2.683 -2.485 6.704


# 17
CeGa3Au, relaxed, DFT r2SCAN; total magnetic moment = 1.005 μB/cell; energy relative to the elements = -329.5 kJ/mol of formula units; symmetry = Cm
1.0
3.065 -3.073 0.000
3.065 3.073 0.000
-3.050 0.000 5.356
Ce Ga Au
1 3 1
Cartesian
0.000 0.000 0.000
1.532 1.548 2.841
0.015 0.000 4.349
1.532 -1.548 2.841
3.050 0.000 1.482